DFT (PBE) results for a geometry-optimized BaTeF6 structure.

## Properties
Formation energy ... -25.13 eV per formula unit
Symmetry ... Fdd2, No. 43
Energy with MP2020 corrections ... -166.725 eV per cell
E ... -4.864 eV per atom

```
BaTeF6
1.0
0.000 7.741 4.619
7.685 0.000 4.619
7.685 7.741 0.000
Ba Te F
4 4 24
direct
0.309 0.691 0.461
0.691 0.309 0.539
0.711 0.789 0.559
0.789 0.711 0.941
0.151 0.225 0.064
0.186 0.690 0.099
0.225 0.151 0.560
0.690 0.186 0.025
0.079 0.438 0.895
0.081 0.988 0.832
0.139 0.957 0.266
0.152 0.418 0.262
0.165 0.341 0.617
0.199 0.894 0.615
0.341 0.165 0.876
0.355 0.661 0.171
0.374 0.633 0.909
0.418 0.152 0.169
0.438 0.079 0.589
0.514 0.576 0.590
0.576 0.514 0.320
0.612 0.984 0.293
0.633 0.374 0.085
0.635 0.958 0.051
0.660 0.930 0.736
0.661 0.355 0.812
0.894 0.199 0.292
0.930 0.660 0.674
0.957 0.139 0.638
0.958 0.635 0.356
0.984 0.612 0.111
0.988 0.081 0.098
```

DFT (PBE) results for a geometry-optimized BaTe2F10 structure.

## Properties
Formation energy ... -37.79 eV per formula unit
Symmetry ... C2/c, No. 15
Energy with MP2020 corrections ... -130.281 eV per cell
E ... -4.655 eV per atom

```
BaTe2F10
1.0
8.826 -2.476 0.000
8.826 2.476 0.000
-4.018 0.000 9.679
Ba Te F
2 4 20
direct
0.043 0.957 0.750
0.957 0.043 0.250
0.286 0.397 0.432
0.397 0.286 0.932
0.603 0.714 0.068
0.714 0.603 0.568
0.043 0.552 0.256
0.058 0.278 0.463
0.178 0.699 0.447
0.188 0.598 0.844
0.278 0.058 0.963
0.301 0.822 0.053
0.359 0.493 0.122
0.402 0.812 0.656
0.448 0.957 0.244
0.493 0.359 0.622
0.507 0.641 0.378
0.552 0.043 0.756
0.598 0.188 0.344
0.641 0.507 0.878
0.699 0.178 0.947
0.722 0.942 0.037
0.812 0.402 0.156
0.822 0.301 0.553
0.942 0.722 0.537
0.957 0.448 0.744
```

DFT (PBE) results for a geometry-optimized BaThF6 structure.

## Properties
Formation energy ... -34.27 eV per formula unit
Symmetry ... P-6m2, No. 187
Energy with MP2020 corrections ... -55.093 eV per cell
E ... -6.540 eV per atom

```
BaThF6
1.0
4.286 0.000 0.000
-2.143 3.712 0.000
0.000 0.000 7.895
Ba Th F
1 1 6
direct
0.000 0.000 0.000
0.667 0.333 0.500
0.000 0.000 0.353
0.000 0.000 0.647
0.333 0.667 0.000
0.333 0.667 0.500
0.667 0.333 0.220
0.667 0.333 0.780
```

DFT (PBE) results for a geometry-optimized Ba2Ti2F11 structure.

## Properties
Formation energy ... -57.60 eV per formula unit
Symmetry ... P3_2, No. 145
Energy with MP2020 corrections ... -294.853 eV per cell
E ... -6.213 eV per atom

```
Ba2Ti2F11
1.0
7.676 0.000 0.000
-3.838 6.648 0.000
0.000 0.000 14.067
Ba Ti F
6 6 33
direct
0.138 0.426 0.000
0.288 0.862 0.333
0.526 0.156 0.853
0.574 0.712 0.667
0.630 0.474 0.186
0.844 0.370 0.519
0.019 0.591 0.758
0.201 0.049 0.587
0.409 0.428 0.425
0.572 0.981 0.092
0.848 0.799 0.920
0.951 0.152 0.253
0.019 0.403 0.189
0.056 0.763 0.620
0.087 0.050 0.924
0.134 0.495 0.666
0.186 0.128 0.449
0.237 0.293 0.287
0.240 0.527 0.471
0.285 0.124 0.709
0.287 0.760 0.805
0.361 0.866 0.999
0.379 0.033 0.154
0.384 0.981 0.523
0.404 0.338 0.568
0.420 0.372 0.031
0.473 0.713 0.138
0.505 0.639 0.332
0.544 0.290 0.371
0.597 0.616 0.856
0.628 0.048 0.698
0.654 0.621 0.487
0.662 0.066 0.234
0.707 0.944 0.953
0.710 0.254 0.038
0.746 0.456 0.704
0.839 0.715 0.042
0.872 0.058 0.115
0.876 0.161 0.376
0.934 0.596 0.901
0.942 0.814 0.782
0.950 0.037 0.591
0.952 0.580 0.365
0.963 0.913 0.258
0.967 0.346 0.820
```

DFT (PBE) results for a geometry-optimized Ba3TiF12 structure.

## Properties
Formation energy ... -53.69 eV per formula unit
Symmetry ... C2/m, No. 12
Energy with MP2020 corrections ... -90.320 eV per cell
E ... -5.299 eV per atom

```
Ba3TiF12
1.0
4.701 -6.546 0.000
4.701 6.546 0.000
-0.815 0.000 6.794
Ba Ti F
3 1 12
direct
0.000 0.000 0.000
0.000 0.500 0.500
0.500 0.000 0.500
0.000 0.000 0.500
0.027 0.210 0.318
0.042 0.223 0.676
0.210 0.027 0.318
0.223 0.042 0.676
0.301 0.669 0.352
0.331 0.699 0.648
0.669 0.301 0.352
0.699 0.331 0.648
0.777 0.958 0.324
0.790 0.973 0.682
0.958 0.777 0.324
0.973 0.790 0.682
```

DFT (PBE) results for a geometry-optimized BaTiZnF7 structure.

## Properties
Formation energy ... -34.87 eV per formula unit
Symmetry ... P2_1/c, No. 14
Energy with MP2020 corrections ... -237.374 eV per cell
E ... -5.611 eV per atom

```
BaTiZnF7
1.0
5.716 0.000 0.000
0.000 10.081 0.000
-0.456 0.000 9.671
Ba Ti Zn F
4 4 4 28
direct
0.235 0.185 0.001
0.235 0.315 0.501
0.765 0.685 0.499
0.765 0.815 0.999
0.304 0.611 0.189
0.304 0.889 0.689
0.696 0.111 0.311
0.696 0.389 0.811
0.196 0.601 0.810
0.196 0.899 0.310
0.804 0.101 0.690
0.804 0.399 0.190
0.016 0.710 0.248
0.016 0.790 0.748
0.110 0.541 0.622
0.110 0.959 0.122
0.133 0.055 0.627
0.133 0.445 0.127
0.242 0.694 0.005
0.242 0.806 0.505
0.382 0.056 0.380
0.382 0.444 0.880
0.392 0.542 0.367
0.392 0.958 0.867
0.477 0.719 0.750
0.477 0.781 0.250
0.523 0.219 0.750
0.523 0.281 0.250
0.608 0.042 0.133
0.608 0.458 0.633
0.618 0.556 0.120
0.618 0.944 0.620
0.758 0.194 0.495
0.758 0.306 0.995
0.867 0.555 0.873
0.867 0.945 0.373
0.890 0.041 0.878
0.890 0.459 0.378
0.984 0.210 0.252
0.984 0.290 0.752
```

DFT (PBE) results for a geometry-optimized BaTm2F8 structure.

## Properties
Formation energy ... -48.73 eV per formula unit
Symmetry ... C2/m, No. 12
Energy with MP2020 corrections ... -74.914 eV per cell
E ... -6.474 eV per atom

```
BaTm2F8
1.0
3.481 -5.253 0.000
3.481 5.253 0.000
-0.666 0.000 4.219
Ba Tm F
1 2 8
direct
0.000 0.000 0.000
0.324 0.676 0.500
0.676 0.324 0.500
0.045 0.329 0.560
0.263 0.737 0.000
0.329 0.045 0.560
0.395 0.395 0.230
0.605 0.605 0.770
0.671 0.955 0.440
0.737 0.263 0.000
0.955 0.671 0.440
```

DFT (PBE) results for a geometry-optimized Ba2YF7 structure.

## Properties
Formation energy ... -42.34 eV per formula unit
Symmetry ... Pnma, No. 62
Energy with MP2020 corrections ... -264.198 eV per cell
Polymorph energy (0 for the lowest one) ... 53 meV per atom
E ... -6.282 eV per atom

```
Ba2YF7
1.0
8.989 0.000 0.000
0.000 8.144 0.000
0.000 0.000 11.345
Ba Y F
8 4 28
direct
0.107 0.250 0.243
0.195 0.750 0.395
0.305 0.250 0.895
0.393 0.750 0.743
0.607 0.250 0.257
0.695 0.750 0.105
0.805 0.250 0.605
0.893 0.750 0.757
0.186 0.750 0.056
0.314 0.250 0.556
0.686 0.750 0.444
0.814 0.250 0.944
0.043 0.250 0.013
0.094 0.250 0.634
0.126 0.570 0.192
0.126 0.930 0.192
0.133 0.750 0.624
0.249 0.075 0.416
0.249 0.425 0.416
0.251 0.575 0.916
0.251 0.925 0.916
0.367 0.250 0.124
0.374 0.070 0.692
0.374 0.430 0.692
0.406 0.750 0.134
0.457 0.750 0.513
0.543 0.250 0.487
0.594 0.250 0.866
0.626 0.570 0.308
0.626 0.930 0.308
0.633 0.750 0.876
0.749 0.075 0.084
0.749 0.425 0.084
0.751 0.575 0.584
0.751 0.925 0.584
0.867 0.250 0.376
0.874 0.070 0.808
0.874 0.430 0.808
0.906 0.750 0.366
0.957 0.750 0.987
```

DFT (PBE) results for a geometry-optimized BaY3F11 structure.

## Properties
Formation energy ... -65.29 eV per formula unit
Symmetry ... P-1, No. 2
Energy with MP2020 corrections ... -215.340 eV per cell
Polymorph energy (0 for the lowest one) ... 0 meV per atom
E ... -6.839 eV per atom

```
BaY3F11
1.0
7.738 0.000 0.000
3.650 7.403 0.000
3.492 -0.195 7.513
Ba Y F
2 6 22
direct
0.189 0.253 0.337
0.811 0.747 0.663
0.229 0.249 0.790
0.271 0.766 0.713
0.307 0.750 0.160
0.693 0.250 0.840
0.729 0.234 0.287
0.771 0.751 0.210
0.049 0.623 0.312
0.066 0.040 0.233
0.073 0.777 0.022
0.144 0.550 0.773
0.218 0.734 0.468
0.263 0.041 0.621
0.316 0.309 0.993
0.357 0.895 0.890
0.404 0.303 0.499
0.431 0.901 0.258
0.497 0.547 0.831
0.503 0.453 0.169
0.569 0.099 0.742
0.596 0.697 0.501
0.643 0.105 0.110
0.684 0.691 0.007
0.737 0.959 0.379
0.782 0.266 0.532
0.856 0.450 0.227
0.927 0.223 0.978
0.934 0.960 0.767
0.951 0.377 0.688
```

DFT (PBE) results for a geometry-optimized BaY3F11 structure.

## Properties
Formation energy ... -64.58 eV per formula unit
Symmetry ... P2_12_12_1, No. 19
Energy with MP2020 corrections ... -427.826 eV per cell
Polymorph energy (0 for the lowest one) ... 48 meV per atom
E ... -6.792 eV per atom

```
BaY3F11
1.0
6.270 0.000 0.000
0.000 7.855 0.000
0.000 0.000 29.681
Ba Y F
4 12 44
direct
0.230 0.094 0.290
0.270 0.906 0.790
0.730 0.406 0.710
0.770 0.594 0.210
0.235 0.059 0.647
0.241 0.410 0.531
0.241 0.750 0.414
0.259 0.250 0.914
0.259 0.590 0.031
0.265 0.941 0.147
0.735 0.441 0.353
0.741 0.090 0.469
0.741 0.750 0.586
0.759 0.250 0.086
0.759 0.910 0.969
0.765 0.559 0.853
0.001 0.242 0.500
0.015 0.570 0.382
0.018 0.416 0.061
0.021 0.067 0.941
0.021 0.894 0.609
0.045 0.691 0.827
0.091 0.767 0.193
0.229 0.891 0.706
0.237 0.579 0.473
0.241 0.870 0.348
0.246 0.754 0.091
0.254 0.246 0.591
0.259 0.130 0.848
0.263 0.421 0.973
0.271 0.109 0.206
0.409 0.233 0.693
0.455 0.309 0.327
0.479 0.106 0.109
0.479 0.933 0.441
0.482 0.584 0.561
0.485 0.430 0.882
0.499 0.758 0.000
0.501 0.258 0.500
0.515 0.930 0.618
0.518 0.084 0.939
0.521 0.433 0.059
0.521 0.606 0.391
0.545 0.809 0.173
0.591 0.733 0.807
0.729 0.609 0.294
0.737 0.921 0.527
0.741 0.630 0.652
0.746 0.746 0.909
0.754 0.254 0.409
0.759 0.370 0.152
0.763 0.079 0.027
0.771 0.391 0.794
0.909 0.267 0.307
0.955 0.191 0.673
0.979 0.394 0.891
0.979 0.567 0.559
0.982 0.916 0.439
0.985 0.070 0.118
0.999 0.742 0.000
```

DFT (PBE) results for a geometry-optimized BaY3F11 structure.

## Properties
Formation energy ... -64.89 eV per formula unit
Symmetry ... Pmma, No. 51
Energy with MP2020 corrections ... -214.544 eV per cell
Polymorph energy (0 for the lowest one) ... 27 meV per atom
E ... -6.813 eV per atom

```
BaY3F11
1.0
8.681 0.000 0.000
0.000 4.429 0.000
0.000 0.000 16.267
Ba Y F
2 6 22
direct
0.250 0.000 0.015
0.750 0.000 0.985
0.000 0.000 0.500
0.001 0.000 0.236
0.499 0.000 0.236
0.500 0.000 0.500
0.501 0.000 0.764
0.999 0.000 0.764
0.000 0.500 0.500
0.007 0.500 0.759
0.033 0.000 0.898
0.051 0.000 0.368
0.250 0.000 0.207
0.250 0.000 0.526
0.250 0.000 0.746
0.250 0.500 0.075
0.449 0.000 0.368
0.467 0.000 0.898
0.493 0.500 0.759
0.500 0.500 0.500
0.507 0.500 0.241
0.533 0.000 0.102
0.551 0.000 0.632
0.750 0.000 0.254
0.750 0.000 0.474
0.750 0.000 0.793
0.750 0.500 0.925
0.949 0.000 0.632
0.967 0.000 0.102
0.993 0.500 0.241
```